No. 1
A geometry-optimized Na2SbAu structure, computed with r2SCAN.

Computed properties:
E_form	-212	kJ/mol of formula units

Cell and atoms, written as CIF:
```
data_Na2SbAu
_chemical_formula_sum 'Na8 Sb4 Au4'
_symmetry_space_group_name_H-M 'C m c m'
_symmetry_Int_Tables_number 63
_symmetry_space_group_name_Hall '-C 2c 2'
_cell_length_a 9.2541
_cell_length_b 7.5214
_cell_length_c 5.9072
_cell_angle_alpha 90.00
_cell_angle_beta 90.00
_cell_angle_gamma 90.00
loop_
_atom_site_label
_atom_site_type_symbol
_atom_site_fract_x
_atom_site_fract_y
_atom_site_fract_z
Na1 Na 0.1781 0.1651 0.2500
Sb1 Sb 0.0000 0.2036 0.7500
Au1 Au 0.0000 0.5000 0.0000
```

***

No. 2
A geometry-optimized Mn3Nb2ZnO9 structure, computed with r2SCAN.

Computed properties:
E_form	-3393	kJ/mol of formula units

Cell and atoms, written as CIF:
```
data_Mn3Nb2ZnO9
_chemical_formula_sum 'Mn6 Nb4 Zn2 O18'
_symmetry_space_group_name_H-M 'P 3 c 1'
_symmetry_Int_Tables_number 158
_symmetry_space_group_name_Hall 'P 3 -2"c'
_cell_length_a 5.2881
_cell_length_b 5.2881
_cell_length_c 14.3201
_cell_angle_alpha 90.00
_cell_angle_beta 90.00
_cell_angle_gamma 120.00
loop_
_atom_site_label
_atom_site_type_symbol
_atom_site_fract_x
_atom_site_fract_y
_atom_site_fract_z
Mn1 Mn 0.0000 0.0000 0.0000
Mn2 Mn 0.0000 0.0000 0.2165
Mn3 Mn 0.6667 0.3333 0.0339
Nb1 Nb 0.3333 0.6667 0.1598
Nb2 Nb 0.3333 0.6667 0.3773
Zn1 Zn 0.6667 0.3333 0.3167
O1 O 0.0192 0.3250 0.1032
O2 O 0.0440 0.3867 0.7688
O3 O 0.3602 0.0090 0.4336
```

***

No. 3
A geometry-optimized ErAl6Fe6 structure, computed with r2SCAN.

Computed properties:
E_form	-422	kJ/mol of formula units

Cell and atoms, written as CIF:
```
data_ErAl6Fe6
_chemical_formula_sum 'Er2 Al12 Fe12'
_symmetry_space_group_name_H-M 'I m m m'
_symmetry_Int_Tables_number 71
_symmetry_space_group_name_Hall '-I 2 2'
_cell_length_a 4.9561
_cell_length_b 8.5550
_cell_length_c 8.5911
_cell_angle_alpha 90.00
_cell_angle_beta 90.00
_cell_angle_gamma 90.00
loop_
_atom_site_label
_atom_site_type_symbol
_atom_site_fract_x
_atom_site_fract_y
_atom_site_fract_z
Er1 Er 0.0000 0.0000 0.0000
Al1 Al 0.0000 0.0000 0.3467
Al2 Al 0.0000 0.3374 0.0000
Al3 Al 0.0000 0.5000 0.3059
Fe1 Fe 0.0000 0.2609 0.5000
Fe2 Fe 0.2500 0.2500 0.2500
```

***

| no. | DFT total energy (eV per atom) |
| --- | --- |
| 1 | -21.4042 |
| 2 | -12.7563 |
| 3 | -12.7059 |